# 1
Here is a relaxed structure of Pt2O from the Materials Project. Energies are from PBE.

## Properties
Total moment ... 0.00 μB/f.u.

a = 4.546 Å, b = 4.546 Å, c = 4.546 Å
α = 90.00°, β = 90.00°, γ = 90.00°
Element x y z (fractional)
Pt: 0.000 0.000 0.000
Pt: 0.000 0.500 0.500
Pt: 0.500 0.000 0.500
Pt: 0.500 0.500 0.000
O: 0.250 0.250 0.250
O: 0.750 0.750 0.750

# 2
Here is a relaxed structure of PtO from the Materials Project. Energies are from PBE.

## Properties
Total moment ... 0.00 μB/f.u.

a = 3.159 Å, b = 3.159 Å, c = 5.359 Å
α = 90.00°, β = 90.00°, γ = 90.00°
Element x y z (fractional)
Pt: 0.000 0.500 0.000
Pt: 0.500 0.000 0.500
O: 0.000 0.000 0.250
O: 0.000 0.000 0.750

# 3
Here is a relaxed structure of Pt3O4 from the Materials Project. Energies are from PBE.

## Properties
Energy above the lowest structure with this stoichiometry ... 0.000 eV/atom

a = 5.666 Å, b = 5.666 Å, c = 5.666 Å
α = 90.00°, β = 90.00°, γ = 90.00°
Element x y z (fractional)
Pt: 0.000 0.250 0.500
Pt: 0.000 0.750 0.500
Pt: 0.250 0.500 0.000
Pt: 0.500 0.000 0.250
Pt: 0.500 0.000 0.750
Pt: 0.750 0.500 0.000
O: 0.250 0.250 0.250
O: 0.250 0.250 0.750
O: 0.250 0.750 0.250
O: 0.250 0.750 0.750
O: 0.750 0.250 0.250
O: 0.750 0.250 0.750
O: 0.750 0.750 0.250
O: 0.750 0.750 0.750

# 4
Here is a relaxed structure of PtO2 from the Materials Project. Energies are from PBE.

## Properties
Piezoelectric modulus e_max ... 0.03 C/m²

a = 3.164 Å, b = 3.164 Å, c = 9.436 Å
α = 90.00°, β = 90.00°, γ = 120.00°
Element x y z (fractional)
Pt: 0.333 0.667 0.000
Pt: 0.667 0.333 0.500
O: 0.000 0.000 0.100
O: 0.000 0.000 0.600
O: 0.333 0.667 0.400
O: 0.667 0.333 0.900

# 5
Here is a relaxed structure of PtO6 from the Materials Project. Energies are from PBE.

## Properties
Total moment ... 2.00 μB/f.u.

a = 5.818 Å, b = 5.818 Å, c = 5.818 Å
α = 78.49°, β = 78.49°, γ = 78.49°
Element x y z (fractional)
Pt: 0.000 0.000 0.000
Pt: 0.500 0.500 0.500
O: 0.130 0.829 0.715
O: 0.171 0.285 0.870
O: 0.215 0.329 0.630
O: 0.285 0.870 0.171
O: 0.329 0.630 0.215
O: 0.370 0.785 0.671
O: 0.630 0.215 0.329
O: 0.671 0.370 0.785
O: 0.715 0.130 0.829
O: 0.785 0.671 0.370
O: 0.829 0.715 0.130
O: 0.870 0.171 0.285

# 6
Here is a relaxed structure of PtO3 from the Materials Project. Energies are from PBE.

## Properties
Total moment ... 0.42 μB/f.u.

a = 5.027 Å, b = 7.210 Å, c = 4.929 Å
α = 90.00°, β = 90.00°, γ = 90.00°
Element x y z (fractional)
Pt: 0.000 0.000 0.000
Pt: 0.000 0.500 0.000
Pt: 0.500 0.000 0.500
Pt: 0.500 0.500 0.500
O: 0.045 0.250 0.159
O: 0.152 0.079 0.649
O: 0.152 0.421 0.649
O: 0.348 0.579 0.149
O: 0.348 0.921 0.149
O: 0.455 0.750 0.659
O: 0.545 0.250 0.341
O: 0.652 0.079 0.851
O: 0.652 0.421 0.851
O: 0.848 0.579 0.351
O: 0.848 0.921 0.351
O: 0.955 0.750 0.841

# 7
Here is a relaxed structure of PtO2 from the Materials Project. Energies are from PBE.

## Properties
Total moment ... 0.00 μB/f.u.

a = 5.000 Å, b = 5.000 Å, c = 5.000 Å
α = 90.00°, β = 90.00°, γ = 90.00°
Element x y z (fractional)
Pt: 0.000 0.000 0.000
Pt: 0.000 0.500 0.500
Pt: 0.500 0.000 0.500
Pt: 0.500 0.500 0.000
O: 0.159 0.659 0.841
O: 0.159 0.841 0.341
O: 0.341 0.159 0.841
O: 0.341 0.341 0.341
O: 0.659 0.659 0.659
O: 0.659 0.841 0.159
O: 0.841 0.159 0.659
O: 0.841 0.341 0.159

# 8
Here is a relaxed structure of PtO6 from the Materials Project. Energies are from PBE.

## Properties
Total moment ... 2.00 μB/f.u.

a = 5.842 Å, b = 5.842 Å, c = 5.826 Å
α = 102.43°, β = 102.43°, γ = 78.28°
Element x y z (fractional)
Pt: 0.000 0.500 0.000
Pt: 0.500 0.000 0.500
O: 0.140 0.340 0.291
O: 0.157 0.795 0.129
O: 0.205 0.843 0.371
O: 0.281 0.380 0.825
O: 0.340 0.140 0.791
O: 0.380 0.281 0.325
O: 0.620 0.719 0.675
O: 0.660 0.860 0.209
O: 0.719 0.620 0.175
O: 0.795 0.157 0.629
O: 0.843 0.205 0.871
O: 0.860 0.660 0.709

# 9
Here is a relaxed structure of PtO2 from the Materials Project. Energies are from PBE.

a = 3.164 Å, b = 3.164 Å, c = 4.728 Å
α = 90.00°, β = 90.00°, γ = 120.00°
Element x y z (fractional)
Pt: 0.000 0.000 0.000
O: 0.333 0.667 0.800
O: 0.667 0.333 0.200

# 10
Here is a relaxed structure of Pt2Rh2O5 from the Materials Project. Energies are from PBE.

## Properties
Total moment ... 0.00 μB/f.u.

a = 3.514 Å, b = 3.514 Å, c = 9.066 Å
α = 90.00°, β = 90.00°, γ = 90.00°
Element x y z (fractional)
Pt: 0.000 0.000 0.000
Pt: 0.000 0.000 0.500
Rh: 0.500 0.500 0.233
Rh: 0.500 0.500 0.767
O: 0.000 0.500 0.354
O: 0.000 0.500 0.646
O: 0.500 0.000 0.354
O: 0.500 0.000 0.646
O: 0.500 0.500 0.000

# 11
Here is a relaxed structure of PtS2O8 from the Materials Project. Energies are from PBE.

## Properties
Total moment ... 0.00 μB/f.u.

a = 9.022 Å, b = 8.389 Å, c = 9.548 Å
α = 90.00°, β = 117.24°, γ = 90.00°
Element x y z (fractional)
Pt: 0.038 0.057 0.134
Pt: 0.038 0.443 0.634
Pt: 0.962 0.557 0.366
Pt: 0.962 0.943 0.866
S: 0.212 0.225 0.953
S: 0.212 0.275 0.453
S: 0.278 0.713 0.631
S: 0.278 0.787 0.131
S: 0.722 0.213 0.869
S: 0.722 0.287 0.369
S: 0.788 0.725 0.547
S: 0.788 0.775 0.047
O: 0.086 0.146 0.370
O: 0.086 0.354 0.870
O: 0.126 0.732 0.461
O: 0.126 0.768 0.961
O: 0.142 0.073 0.850
O: 0.142 0.427 0.350
O: 0.206 0.617 0.731
O: 0.206 0.883 0.231
O: 0.211 0.197 0.112
O: 0.211 0.303 0.612
O: 0.322 0.631 0.196
O: 0.322 0.869 0.696
O: 0.377 0.243 0.477
O: 0.377 0.257 0.977
O: 0.398 0.608 0.618
O: 0.398 0.892 0.118
O: 0.602 0.108 0.882
O: 0.602 0.392 0.382
O: 0.623 0.743 0.023
O: 0.623 0.757 0.523
O: 0.678 0.131 0.304
O: 0.678 0.369 0.804
O: 0.789 0.697 0.388
O: 0.789 0.803 0.888
O: 0.794 0.117 0.769
O: 0.794 0.383 0.269
O: 0.858 0.573 0.650
O: 0.858 0.927 0.150
O: 0.874 0.232 0.039
O: 0.874 0.268 0.539
O: 0.914 0.646 0.130
O: 0.914 0.854 0.630

# 12
Here is a relaxed structure of Sb2Pt2O7 from the Materials Project. Energies are from PBE.

## Properties
Total moment ... 0.00 μB/f.u.

a = 7.358 Å, b = 7.358 Å, c = 7.358 Å
α = 60.00°, β = 60.00°, γ = 60.00°
Element x y z (fractional)
Sb: 0.000 0.000 0.000
Sb: 0.000 0.000 0.500
Sb: 0.000 0.500 0.000
Sb: 0.500 0.000 0.000
Pt: 0.000 0.500 0.500
Pt: 0.500 0.000 0.500
Pt: 0.500 0.500 0.000
Pt: 0.500 0.500 0.500
O: 0.125 0.125 0.125
O: 0.164 0.164 0.586
O: 0.164 0.586 0.164
O: 0.164 0.586 0.586
O: 0.414 0.414 0.836
O: 0.414 0.836 0.414
O: 0.414 0.836 0.836
O: 0.586 0.164 0.164
O: 0.586 0.164 0.586
O: 0.586 0.586 0.164
O: 0.836 0.414 0.414
O: 0.836 0.414 0.836
O: 0.836 0.836 0.414
O: 0.875 0.875 0.875

Number 1: formation energy -0.1 eV per formula unit. Number 2: formation energy -1.2 eV per formula unit. Number 3: formation energy -5.8 eV per formula unit. Number 4: formation energy -2.8 eV per formula unit. Number 5: formation energy -1.0 eV per formula unit. Number 6: formation energy -2.4 eV per formula unit. Number 7: formation energy -2.5 eV per formula unit. Number 8: formation energy -1.0 eV per formula unit. Number 9: formation energy -2.8 eV per formula unit. Number 10: formation energy -1.5 eV per formula unit. Number 11: formation energy -15.4 eV per formula unit. Number 12: formation energy -13.7 eV per formula unit.